The following is a DFT calculation (PBE-GGA) of a geometry-optimized LaEuB12 structure.

Cell and atoms, written as POSCAR:
```
LaEuB12
1.0
5.8054 -0.9210 -0.0399
3.2706 1.6587 4.5940
2.3573 -4.0527 3.5457
La Eu B
1 1 12
Direct
0.5000 0.5000 0.5000
0.0000 0.0000 0.0000
0.3998 0.1002 0.1002
0.8998 0.6002 0.6002
0.3998 0.3998 0.1002
0.8998 0.8998 0.6002
0.1002 0.3998 0.1002
0.6002 0.8998 0.6002
0.1002 0.1002 0.3998
0.6002 0.6002 0.8998
0.3998 0.1002 0.3998
0.8998 0.6002 0.8998
0.1002 0.3998 0.3998
0.6002 0.8998 0.8998
```

Calculated values
* E_form: -0.53 eV per atom
* crystal system: cubic
* E: -7.336 eV per atom

The following is a DFT calculation (PBE-GGA) of a geometry-optimized MgBO3 structure.

Cell and atoms, written as POSCAR:
```
MgBO3
1.0
-1.2610 1.4712 -2.7416
-3.0943 -0.2831 1.2713
0.3259 3.0044 1.4622
Mg B O
1 1 3
Direct
0.0000 0.0000 0.0000
0.5000 0.5000 0.5000
0.5000 0.5000 0.0000
0.5000 0.0000 0.5000
0.0000 0.5000 0.5000
```

Calculated values
* E_form: -1.71 eV per atom
* crystal system: cubic
* corrected total energy (MP2020 scheme): -31.65 eV per cell
* E: -5.919 eV per atom